1.
A plane-wave DFT calculation with PBE was carried out for a geometry-optimized Mg6NbSb structure.

Cell lengths 5.271, 5.962, 10.966 Å; angles 90.00, 90.00, 90.00 degrees
Fractional positions:
1 Mg 0.000 0.500 0.335
2 Mg 0.500 0.752 0.418
3 Mg 0.000 0.261 0.583
4 Mg 0.000 0.000 0.835
5 Mg 0.000 0.739 0.583
6 Mg 0.000 0.500 0.827
7 Mg 0.500 0.252 0.918
8 Mg 0.500 0.748 0.918
9 Mg 0.000 0.000 0.327
10 Mg 0.000 0.761 0.083
11 Mg 0.500 0.248 0.418
12 Mg 0.000 0.239 0.083
13 Nb 0.500 0.000 0.169
14 Nb 0.500 0.500 0.669
15 Sb 0.500 0.500 0.168
16 Sb 0.500 0.000 0.668

volume: 21.5 A^3/atom
E_form: 0.05 eV per atom
calculated total energy: -0.214 Ry per atom
energy relative to the lowest polymorph listed for this composition: 0.0260 eV per atom

2.
A plane-wave DFT calculation with PBE was carried out for a geometry-optimized Mg14NbSb structure.

Cell lengths 6.335, 6.335, 10.191 Å; angles 90.00, 90.00, 120.00 degrees
Fractional positions:
1 Sb 0.167 0.333 0.625
2 Mg 0.330 0.659 0.369
3 Mg 0.666 0.332 0.125
4 Mg 0.667 0.335 0.625
5 Mg 0.330 0.170 0.881
6 Mg 0.841 0.170 0.881
7 Mg 0.666 0.834 0.125
8 Mg 0.165 0.833 0.625
9 Mg 0.330 0.659 0.881
10 Mg 0.667 0.833 0.625
11 Mg 0.833 0.667 0.878
12 Mg 0.841 0.170 0.369
13 Mg 0.330 0.170 0.369
14 Mg 0.833 0.667 0.372
15 Mg 0.168 0.834 0.125
16 Nb 0.167 0.333 0.125

volume: 22.1 A^3/atom
E_form: 0.01 eV per atom
calculated total energy: -0.166 Ry per atom
space group: P-6m2
energy relative to the lowest polymorph listed for this composition: 0.0000 eV per atom